! GaCu4 (PBE, optimized geometry); values from VASP
! Formation energy (kcal/mol of atoms): 0.6
! Space group: No. 166
! Calculated volume (Å³ per cell): 190.0
! Magnetic moment (μB per cell): 0.0
! Final energy (eV per cell): -57.888
&SYSTEM
  ibrav = 0, nat = 15, ntyp = 2
/
ATOMIC_SPECIES
Ga 69.72 Ga.upf
Cu 63.55 Cu.upf
ATOMIC_POSITIONS crystal
Ga 0.000 0.000 0.000
Ga 0.333 0.667 0.667
Ga 0.667 0.333 0.333
Cu 0.000 0.000 0.200
Cu 0.000 0.000 0.402
Cu 0.000 0.000 0.598
Cu 0.000 0.000 0.800
Cu 0.333 0.667 0.068
Cu 0.333 0.667 0.265
Cu 0.333 0.667 0.467
Cu 0.333 0.667 0.866
Cu 0.667 0.333 0.134
Cu 0.667 0.333 0.533
Cu 0.667 0.333 0.735
Cu 0.667 0.333 0.932
CELL_PARAMETERS angstrom
2.654 0.000 0.000
-1.327 2.298 0.000
0.000 0.000 31.151